Here is an optimized crystal structure of FeP2HO7 from the Materials Project. Energies are from PBE with a Hubbard U.

Summary:
energy with MP2020 corrections = -7.500 eV per atom
DFT formation energy = -2.289 eV per atom
total magnetization = 5.0 μB/f.u.
energy above the most stable polymorph in this dataset = 0.009 eV/atom

Lattice parameters (Å, degrees): 7.447 8.424 9.967 90.00 124.43 90.00
Space group P2_1/c (No. 14)
Inequivalent atoms, fractional coordinates:
Fe 0.042 0.198 0.021 [4 per cell]
P 0.059 0.510 0.236 [4 per cell]
P 0.427 0.716 0.304 [4 per cell]
H 0.384 0.128 0.488 [4 per cell]
O 0.008 0.504 0.367 [4 per cell]
O 0.062 0.158 0.682 [4 per cell]
O 0.090 0.123 0.404 [4 per cell]
O 0.273 0.725 0.631 [4 per cell]
O 0.306 0.573 0.330 [4 per cell]
O 0.357 0.152 0.154 [4 per cell]
O 0.461 0.653 0.929 [4 per cell]

=====

Here is an optimized crystal structure of BaNb2Fe2O9 from the Materials Project. Energies are from PBE with a Hubbard U.

Summary:
energy with MP2020 corrections = -8.542 eV per atom
DFT formation energy = -2.571 eV per atom
total magnetization = 10.0 μB/f.u.
energy above the most stable polymorph in this dataset = 0.005 eV/atom

Lattice parameters (Å, degrees): 26.392 5.623 5.625 90.00 90.00 90.00
Space group Cmc2_1 (No. 36)
Inequivalent atoms, fractional coordinates:
Ba 0.000 0.249 0.000 [4 per cell]
Nb 0.084 0.251 0.494 [8 per cell]
Fe 0.225 0.252 0.534 [8 per cell]
O 0.000 0.244 0.507 [4 per cell]
O 0.075 0.499 0.761 [8 per cell]
O 0.078 0.001 0.762 [8 per cell]
O 0.156 0.262 0.522 [8 per cell]
O 0.249 0.001 0.283 [8 per cell]

=====

Here is an optimized crystal structure of CoP4O12 from the Materials Project. Energies are from PBE with a Hubbard U.

Summary:
energy with MP2020 corrections = -7.404 eV per atom
DFT formation energy = -2.220 eV per atom
total magnetization = 3.0 μB/f.u.
energy above the most stable polymorph in this dataset = 0.002 eV/atom

Lattice parameters (Å, degrees): 9.657 13.707 7.669 90.00 102.09 90.00
Space group C2/c (No. 15)
Inequivalent atoms, fractional coordinates:
Co 0.000 0.132 0.250 [4 per cell]
P 0.097 0.339 0.127 [8 per cell]
P 0.124 0.077 0.665 [8 per cell]
O 0.000 0.123 0.750 [4 per cell]
O 0.000 0.391 0.250 [4 per cell]
O 0.029 0.362 0.938 [8 per cell]
O 0.112 0.033 0.158 [8 per cell]
O 0.124 0.233 0.182 [8 per cell]
O 0.133 0.132 0.498 [8 per cell]
O 0.241 0.399 0.181 [8 per cell]

=====

Here is an optimized crystal structure of Li9Mn2Co5O16 from the Materials Project. Energies are from PBE with a Hubbard U.

Summary:
energy with MP2020 corrections = -6.503 eV per atom
DFT formation energy = -1.808 eV per atom
total magnetization = 12.0 μB/f.u.
energy above the most stable polymorph in this dataset = 0.056 eV/atom

Lattice parameters (Å, degrees): 15.265 2.894 13.117 90.00 93.05 90.00
Space group Cm (No. 8)
Inequivalent atoms, fractional coordinates:
Li 0.000 0.000 0.000 [2 per cell]
Li 0.001 0.500 0.485 [2 per cell]
Li 0.124 0.000 0.364 [2 per cell]
Li 0.128 0.500 0.884 [2 per cell]
Li 0.184 0.000 0.061 [2 per cell]
Li 0.247 0.000 0.751 [2 per cell]
Li 0.250 0.500 0.235 [2 per cell]
Li 0.370 0.500 0.616 [2 per cell]
Li 0.372 0.000 0.123 [2 per cell]
Mn 0.064 0.000 0.682 [2 per cell]
Mn 0.433 0.000 0.811 [2 per cell]
Co 0.067 0.500 0.171 [2 per cell]
Co 0.188 0.500 0.549 [2 per cell]
Co 0.301 0.500 0.951 [2 per cell]
Co 0.314 0.000 0.428 [2 per cell]
Co 0.440 0.500 0.304 [2 per cell]
O 0.016 0.000 0.841 [2 per cell]
O 0.024 0.500 0.331 [2 per cell]
O 0.088 0.500 0.037 [2 per cell]
O 0.100 0.000 0.524 [2 per cell]
O 0.146 0.000 0.212 [2 per cell]
O 0.149 0.500 0.708 [2 per cell]
O 0.222 0.000 0.902 [2 per cell]
O 0.226 0.500 0.403 [2 per cell]
O 0.275 0.000 0.581 [2 per cell]
O 0.285 0.500 0.084 [2 per cell]
O 0.349 0.000 0.280 [2 per cell]
O 0.353 0.500 0.774 [2 per cell]
O 0.397 0.000 0.948 [2 per cell]
O 0.402 0.500 0.459 [2 per cell]
O 0.475 0.000 0.666 [2 per cell]
O 0.475 0.500 0.157 [2 per cell]

=====

Here is an optimized crystal structure of LiNiH12S2O14 from the Materials Project. Energies are from PBE with a Hubbard U.

Summary:
energy with MP2020 corrections = -5.647 eV per atom
DFT formation energy = -1.449 eV per atom
total magnetization = 1.0 μB/f.u.

Lattice parameters (Å, degrees): 5.898 11.524 8.707 90.00 103.81 90.00
Space group P2_1 (No. 4)
Inequivalent atoms, fractional coordinates:
Li 0.153 0.000 0.115 [2 per cell]
Ni 0.498 0.877 0.750 [2 per cell]
H 0.170 0.731 0.717 [2 per cell]
H 0.172 0.968 0.536 [2 per cell]
H 0.174 0.292 0.036 [2 per cell]
H 0.175 0.522 0.216 [2 per cell]
H 0.181 0.824 0.863 [2 per cell]
H 0.184 0.434 0.366 [2 per cell]
H 0.410 0.247 0.996 [2 per cell]
H 0.411 0.003 0.492 [2 per cell]
H 0.422 0.473 0.980 [2 per cell]
H 0.434 0.776 0.481 [2 per cell]
H 0.481 0.070 0.886 [2 per cell]
H 0.484 0.184 0.378 [2 per cell]
S 0.226 0.510 0.676 [2 per cell]
S 0.227 0.742 0.159 [2 per cell]
O 0.067 0.640 0.135 [2 per cell]
O 0.076 0.615 0.676 [2 per cell]
O 0.121 0.439 0.534 [2 per cell]
O 0.123 0.833 0.035 [2 per cell]
O 0.209 0.816 0.753 [2 per cell]
O 0.212 0.440 0.256 [2 per cell]
O 0.233 0.444 0.822 [2 per cell]
O 0.253 0.797 0.314 [2 per cell]
O 0.332 0.261 0.086 [2 per cell]
O 0.337 0.992 0.582 [2 per cell]
O 0.455 0.988 0.918 [2 per cell]
O 0.457 0.704 0.133 [2 per cell]
O 0.459 0.265 0.411 [2 per cell]
O 0.471 0.545 0.670 [2 per cell]

=====

Here is an optimized crystal structure of SrEuDyFeO6 from the Materials Project. Energies are from PBE with a Hubbard U.

Summary:
energy with MP2020 corrections = -8.193 eV per atom
DFT formation energy = -2.722 eV per atom
total magnetization = 10.0 μB/f.u.

Lattice parameters (Å, degrees): 8.054 8.054 8.054 90.00 90.00 90.00
Space group F-43m (No. 216)
Inequivalent atoms, fractional coordinates:
Sr 0.000 0.000 0.000 [4 per cell]
Eu 0.000 0.000 0.500 [4 per cell]
Dy 0.250 0.250 0.250 [4 per cell]
Fe 0.250 0.250 0.750 [4 per cell]
O 0.018 0.250 0.750 [24 per cell]